VASP calculation (GGA-PBE) on a relaxed structure of Bi20Pt3Br36.

Results
Crystal system   monoclinic
Volume   39.484 A^3/atom
Raw total energy   -3.28 eV per atom
Formation enthalpy at 0 K   -0.98 eV/atom
Mass density   5.45 g cm⁻³

Cell: 11.5889 11.5889 18.7419 Å, 74.17 74.17 86.48°
Fractional positions:
Br 0.4717 0.4717 0.8929
Bi 0.4461 0.4461 0.4025
Br 0.0672 0.5913 0.3348
Br 0.1519 0.4144 0.1621
Bi 0.6426 0.8868 0.5561
Bi 0.5283 0.2756 0.2351
Br 0.2439 0.5047 0.5084
Br 0.0885 0.8286 0.8262
Bi 0.4717 0.7244 0.7649
Br 0.2603 0.7397 0.0000
Br 0.7397 0.2603 0.0000
Br 0.8286 0.0885 0.8262
Bi 0.8082 0.8082 0.7163
Br 0.4144 0.1519 0.1621
Br 0.5856 0.8481 0.8379
Br 0.2307 0.9675 0.3861
Br 0.1965 0.1965 0.7759
Bi 0.3574 0.1132 0.4439
Bi 0.8762 0.8762 0.9366
Pt 0.3234 0.3234 0.3382
Br 0.0325 0.7693 0.6139
Br 0.3660 0.1096 0.9469
Bi 0.8868 0.6426 0.5561
Bi 0.9590 0.2091 0.8965
Br 0.8481 0.5856 0.8379
Br 0.5047 0.2439 0.5084
Br 0.3004 0.5551 0.7249
Br 0.8904 0.6340 0.0531
Br 0.4087 0.9328 0.6652
Bi 0.6581 0.6581 0.1690
Pt 0.6766 0.6766 0.6618
Bi 0.2756 0.5283 0.2351
Bi 0.5539 0.5539 0.5975
Br 0.7561 0.4953 0.4916
Br 0.4449 0.6996 0.2751
Br 0.1456 0.1456 0.5596
Br 0.8544 0.8544 0.4404
Br 0.4953 0.7561 0.4916
Bi 0.2091 0.9590 0.8965
Br 0.7693 0.0325 0.6139
Br 0.9675 0.2307 0.3861
Br 0.5551 0.3004 0.7249
Pt 0.0000 0.0000 0.0000
Br 0.8035 0.8035 0.2241
Br 0.9115 0.1714 0.1738
Br 0.5913 0.0672 0.3348
Bi 0.7909 0.0410 0.1035
Bi 0.1238 0.1238 0.0634
Br 0.6996 0.4449 0.2751
Br 0.9328 0.4087 0.6652
Bi 0.7244 0.4717 0.7649
Br 0.6340 0.8904 0.0531
Bi 0.1132 0.3574 0.4439
Bi 0.1918 0.1918 0.2837
Bi 0.0410 0.7909 0.1035
Br 0.1096 0.3660 0.9469
Bi 0.3419 0.3419 0.8310
Br 0.1714 0.9115 0.1738
Br 0.5283 0.5283 0.1071